# Li4Mn3O7 (PBE+U, optimized geometry)
data_Li4Mn3O7
_cell_length_a 9.791
_cell_length_b 2.884
_cell_length_c 18.699
_cell_angle_alpha 90.00
_cell_angle_beta 97.71
_cell_angle_gamma 90.00
_symmetry_space_group_name_H-M 'C 1 2/m 1'
_symmetry_Int_Tables_number 12
loop_
_symmetry_equiv_pos_as_xyz
'x,y,z'
'-x,-y,-z'
'-x,y,-z'
'x,-y,z'
'x+1/2,y+1/2,z'
'-x+1/2,-y+1/2,-z'
'-x+1/2,y+1/2,-z'
'x+1/2,-y+1/2,z'
loop_
_atom_site_label
_atom_site_fract_x
_atom_site_fract_y
_atom_site_fract_z
_atom_site_occupancy
Li1 0.000 0.000 0.000 1
Li2 0.000 0.000 0.500 1
Li3 0.072 0.500 0.143 1
Li4 0.139 0.000 0.292 1
Li5 0.218 0.500 0.433 1
Mn1 0.077 0.500 0.633 1
Mn2 0.145 0.000 0.780 1
Mn3 0.213 0.500 0.927 1
O1 0.017 0.500 0.745 1
O2 0.053 0.000 0.389 1
O3 0.082 0.000 0.896 1
O4 0.139 0.500 0.546 1
O5 0.155 0.500 0.042 1
O6 0.203 0.000 0.671 1
O7 0.224 0.000 0.186 1
# volume = 9.342 Å³/atom
# total magnetic moment = 11.00 μB/f.u.
# crystal system = monoclinic
# E_tot = -358.854 eV/cell
# energy relative to the lowest polymorph listed for this composition = 18.2 meV per atom
# energy with MP2020 corrections = -398.106 eV per cell

# LiMn3O6 (PBE+U, optimized geometry)
data_LiMn3O6
_cell_length_a 5.927
_cell_length_b 5.953
_cell_length_c 13.138
_cell_angle_alpha 102.95
_cell_angle_beta 102.14
_cell_angle_gamma 91.65
_symmetry_space_group_name_H-M 'P 1'
_symmetry_Int_Tables_number 1
loop_
_symmetry_equiv_pos_as_xyz
'x,y,z'
loop_
_atom_site_label
_atom_site_fract_x
_atom_site_fract_y
_atom_site_fract_z
_atom_site_occupancy
Li1 0.000 0.000 0.000 1
Li2 0.100 0.229 0.174 1
Li3 0.354 0.985 0.673 1
Li4 0.760 0.245 0.505 1
Mn1 0.052 0.617 0.589 1
Mn2 0.223 0.613 0.918 1
Mn3 0.229 0.113 0.423 1
Mn4 0.231 0.608 0.426 1
Mn5 0.381 0.628 0.252 1
Mn6 0.547 0.119 0.085 1
Mn7 0.547 0.627 0.083 1
Mn8 0.554 0.622 0.589 1
Mn9 0.723 0.604 0.922 1
Mn10 0.879 0.120 0.755 1
Mn11 0.879 0.622 0.751 1
Mn12 0.880 0.618 0.256 1
O1 0.019 0.351 0.428 1
O2 0.021 0.842 0.433 1
O3 0.083 0.392 0.743 1
O4 0.126 0.831 0.765 1
O5 0.142 0.817 0.269 1
O6 0.143 0.379 0.265 1
O7 0.309 0.876 0.099 1
O8 0.314 0.863 0.577 1
O9 0.317 0.401 0.580 1
O10 0.327 0.380 0.076 1
O11 0.442 0.388 0.410 1
O12 0.446 0.855 0.431 1
O13 0.469 0.381 0.930 1
O14 0.482 0.810 0.926 1
O15 0.616 0.433 0.241 1
O16 0.622 0.864 0.239 1
O17 0.640 0.416 0.740 1
O18 0.673 0.847 0.766 1
O19 0.753 0.884 0.081 1
O20 0.782 0.359 0.075 1
O21 0.786 0.389 0.595 1
O22 0.794 0.840 0.598 1
O23 0.961 0.408 0.909 1
O24 0.975 0.832 0.916 1
# volume = 11.007 Å³/atom
# total magnetic moment = 10.00 μB/f.u.
# crystal system = triclinic
# E_tot = -242.182 eV/cell
# energy relative to the lowest polymorph listed for this composition = 920.8 meV per atom
# energy with MP2020 corrections = -278.686 eV per cell

# Li4Mn3O7 (PBE+U, optimized geometry)
data_Li4Mn3O7
_cell_length_a 5.080
_cell_length_b 7.660
_cell_length_c 7.835
_cell_angle_alpha 62.66
_cell_angle_beta 73.30
_cell_angle_gamma 77.42
_symmetry_space_group_name_H-M 'P -1'
_symmetry_Int_Tables_number 2
loop_
_symmetry_equiv_pos_as_xyz
'x,y,z'
'-x,-y,-z'
loop_
_atom_site_label
_atom_site_fract_x
_atom_site_fract_y
_atom_site_fract_z
_atom_site_occupancy
Li1 0.000 0.000 0.000 1
Li2 0.004 0.144 0.569 1
Li3 0.006 0.571 0.279 1
Li4 0.011 0.707 0.864 1
Li5 0.500 0.500 0.000 1
Mn1 0.490 0.783 0.145 1
Mn2 0.496 0.639 0.579 1
Mn3 0.500 0.079 0.280 1
O1 0.255 0.757 0.010 1
O2 0.263 0.028 0.154 1
O3 0.268 0.311 0.300 1
O4 0.268 0.873 0.587 1
O5 0.269 0.590 0.444 1
O6 0.285 0.469 0.831 1
O7 0.297 0.185 0.691 1
# volume = 9.218 Å³/atom
# total magnetic moment = 11.00 μB/f.u.
# crystal system = triclinic
# E_tot = -179.477 eV/cell
# energy relative to the lowest polymorph listed for this composition = 16.4 meV per atom
# energy with MP2020 corrections = -199.103 eV per cell

Question: Look up the energy relative to the lowest polymorph listed for this composition of the first one.
Answer: 18.2 meV per atom

Question: Among the records above, which one has the lowest E_tot?
Answer: number 1